Arrangement a

First-principles (PBE-GGA) data for a relaxed structure of B, as listed in Materials Project.

Properties
Density ... 2.27 Mg/m³
Size of the total moment ... 0.000 μB per cell

Lattice parameters (Å, degrees): 10.163 10.163 10.163 65.40 65.40 65.40
Positions (direct):
B 0.107 0.107 0.491
B 0.325 0.800 0.622
B 0.546 0.179 0.888
B 0.359 0.996 0.176
B 0.997 0.997 0.663
B 0.325 0.622 0.800
B 0.999 0.999 0.837
B 0.675 0.378 0.200
B 0.454 0.112 0.821
B 0.490 0.214 0.490
B 0.018 0.178 0.178
B 0.359 0.176 0.996
B 0.607 0.607 0.607
B 0.420 0.636 0.904
B 0.004 0.641 0.824
B 0.797 0.797 0.495
B 0.003 0.337 0.003
B 0.904 0.636 0.420
B 0.580 0.364 0.096
B 0.214 0.490 0.490
B 0.824 0.004 0.641
B 0.546 0.888 0.179
B 0.001 0.001 0.163
B 0.837 0.999 0.999
B 0.364 0.580 0.096
B 0.641 0.004 0.824
B 0.822 0.822 0.982
B 0.337 0.003 0.003
B 0.821 0.454 0.112
B 0.101 0.101 0.835
B 0.003 0.003 0.337
B 0.888 0.179 0.546
B 0.800 0.622 0.325
B 0.893 0.893 0.509
B 0.899 0.899 0.165
B 0.387 0.387 0.217
B 0.636 0.904 0.420
B 0.800 0.325 0.622
B 0.176 0.359 0.996
B 0.799 0.315 0.799
B 0.510 0.786 0.510
B 0.454 0.821 0.112
B 0.622 0.800 0.325
B 0.888 0.546 0.179
B 0.420 0.904 0.636
B 0.824 0.641 0.004
B 0.165 0.899 0.899
B 0.500 0.500 0.500
B 0.821 0.112 0.454
B 0.001 0.163 0.001
B 0.112 0.821 0.454
B 0.178 0.018 0.178
B 0.201 0.201 0.685
B 0.004 0.824 0.641
B 0.096 0.364 0.580
B 0.112 0.454 0.821
B 0.580 0.096 0.364
B 0.799 0.799 0.315
B 0.217 0.387 0.387
B 0.364 0.096 0.580
B 0.200 0.378 0.675
B 0.201 0.685 0.201
B 0.179 0.888 0.546
B 0.505 0.203 0.203
B 0.797 0.495 0.797
B 0.107 0.491 0.107
B 0.203 0.203 0.505
B 0.315 0.799 0.799
B 0.163 0.001 0.001
B 0.490 0.490 0.214
B 0.786 0.510 0.510
B 0.904 0.420 0.636
B 0.997 0.663 0.997
B 0.685 0.201 0.201
B 0.663 0.997 0.997
B 0.636 0.420 0.904
B 0.996 0.359 0.176
B 0.893 0.509 0.893
B 0.641 0.824 0.004
B 0.393 0.393 0.393
B 0.101 0.835 0.101
B 0.822 0.982 0.822
B 0.200 0.675 0.378
B 0.178 0.178 0.018
B 0.982 0.822 0.822
B 0.179 0.546 0.888
B 0.783 0.613 0.613
B 0.203 0.505 0.203
B 0.613 0.783 0.613
B 0.613 0.613 0.783
B 0.378 0.200 0.675
B 0.096 0.580 0.364
B 0.509 0.893 0.893
B 0.899 0.165 0.899
B 0.510 0.510 0.786
B 0.996 0.176 0.359
B 0.999 0.837 0.999
B 0.491 0.107 0.107
B 0.622 0.325 0.800
B 0.176 0.996 0.359
B 0.675 0.200 0.378
B 0.378 0.675 0.200
B 0.495 0.797 0.797
B 0.387 0.217 0.387
B 0.835 0.101 0.101


Arrangement b

First-principles (PBE-GGA) data for a relaxed structure of B, as listed in Materials Project.

Properties
Density ... 2.39 Mg/m³
Size of the total moment ... 1.469 μB per cell

Lattice parameters (Å, degrees): 8.620 8.620 5.063 90.00 90.00 90.00
Positions (direct):
B 0.754 0.754 0.916
B 0.829 0.418 0.596
B 0.773 0.081 0.593
B 0.081 0.227 0.407
B 0.418 0.171 0.404
B 0.273 0.581 0.907
B 0.329 0.082 0.096
B 0.918 0.671 0.096
B 0.246 0.246 0.916
B 0.171 0.418 0.404
B 0.582 0.171 0.596
B 0.746 0.254 0.416
B 0.746 0.746 0.584
B 0.871 0.871 0.116
B 0.919 0.773 0.407
B 0.727 0.419 0.907
B 0.671 0.082 0.904
B 0.000 0.000 0.500
B 0.918 0.329 0.904
B 0.582 0.829 0.404
B 0.671 0.918 0.096
B 0.371 0.629 0.616
B 0.227 0.919 0.593
B 0.871 0.129 0.884
B 0.629 0.629 0.384
B 0.754 0.246 0.084
B 0.082 0.329 0.096
B 0.082 0.671 0.904
B 0.581 0.727 0.093
B 0.581 0.273 0.907
B 0.727 0.581 0.093
B 0.254 0.746 0.416
B 0.254 0.254 0.584
B 0.919 0.227 0.593
B 0.171 0.582 0.596
B 0.129 0.129 0.116
B 0.246 0.754 0.084
B 0.500 0.500 0.000
B 0.419 0.273 0.093
B 0.273 0.419 0.093
B 0.227 0.081 0.407
B 0.371 0.371 0.384
B 0.419 0.727 0.907
B 0.329 0.918 0.904
B 0.418 0.829 0.596
B 0.129 0.871 0.884
B 0.081 0.773 0.593
B 0.773 0.919 0.407
B 0.829 0.582 0.404
B 0.629 0.371 0.616


Arrangement c

First-principles (PBE-GGA) data for a relaxed structure of B, as listed in Materials Project.

Properties
Density ... 1.89 Mg/m³
Size of the total moment ... 0.000 μB per cell

Lattice parameters (Å, degrees): 1.711 1.711 3.736 90.00 90.00 120.00
Positions (direct):
B 0.000 0.000 0.000


Comparing the structures above, arrangement a comes out on top by 33 meV per atom.